1.
Nb9As7Pd after structural relaxation. Source: Materials Project, functional GGA-PBE.

## Properties
ΔE_f (eV per formula unit): -9.96
Electronic total energy (eV per atom): -8.16

Cell: 16.7942 16.7942 3.5979 Å, 90.00 90.00 120.00°
With the nearest neighbours (Å) after each atom.
Space group P-6 (No. 174)
Inequivalent atoms, fractional coordinates:
Nb: 0.0073 0.3107 0.0000  5 As 2.65-2.76
Nb: 0.0159 0.4658 0.5000  5 As 2.63-2.79
Nb: 0.0457 0.1330 0.0000  6 As 2.64-2.67
Nb: 0.1309 0.7783 0.0000  5 As 2.62-2.68
Nb: 0.2068 0.6716 0.5000  5 As 2.68-2.85, 4 Pd 2.99
Nb: 0.2611 0.1721 0.0000  5 As 2.66-2.75
Nb: 0.3628 0.3412 0.5000  5 As 2.66-2.75
Nb: 0.4056 0.1617 0.5000  5 As 2.65-2.77
Nb: 0.5788 0.3788 0.5000  6 As 2.64-2.67
As: 0.0000 0.0000 0.5000  6 Nb 2.67
As: 0.0438 0.8238 0.5000  7 Nb 2.64-2.75
As: 0.0703 0.5971 0.0000  7 Nb 2.63-2.68, 1 Pd 2.74
As: 0.1382 0.3986 0.5000  2 Pd 2.51, 5 Nb 2.62-2.79
As: 0.2181 0.0402 0.5000  7 Nb 2.64-2.77
As: 0.3333 0.6667 0.0000  3 Pd 2.56, 6 Nb 2.82
As: 0.4477 0.2932 0.0000  7 Nb 2.64-2.75
As: 0.4902 0.1139 0.0000  7 Nb 2.64-2.76
As: 0.6667 0.3333 0.0000  6 Nb 2.67
Pd: 0.1782 0.5171 0.0000  4 As 2.51-2.74


2.
Ca2Y2Si4CO16 after structural relaxation. Source: Materials Project, functional GGA-PBE.

## Properties
ΔE_f (eV per formula unit): -78.42
Electronic total energy (eV per atom): -7.78

Cell: 14.4747 13.1513 6.8037 Å, 90.00 90.00 90.00°
With the nearest neighbours (Å) after each atom.
Space group Pnma (No. 62)
Inequivalent atoms, fractional coordinates:
Ca: 0.0502 0.0737 0.1937  6 O 2.26-2.53
Y: 0.2201 0.5603 0.8869  8 O 2.25-2.51
Si: 0.0684 0.1318 0.6629  4 O 1.62-1.68
Si: 0.1474 0.6304 0.3879  4 O 1.62-1.66
C: 0.1208 0.7500 0.8877  3 O 1.29
O: 0.0361 0.6120 0.4388  2 Si 1.66-1.68
O: 0.0730 0.2500 0.7434  2 Si 1.65
O: 0.0783 0.6636 0.8814  1 C 1.29
O: 0.0818 0.0512 0.8439  1 Si 1.64
O: 0.1031 0.2500 0.1550  2 Ca 2.46
O: 0.1364 0.1122 0.4768  1 Si 1.62
O: 0.1616 0.7500 0.3306  2 Si 1.63
O: 0.1719 0.5538 0.2052  1 Si 1.64
O: 0.2098 0.7500 0.8995  1 C 1.29
O: 0.2148 0.5917 0.5618  1 Si 1.62


3.
Li4ZnP2O8 after structural relaxation. Source: Materials Project, functional GGA-PBE.

## Properties
ΔE_f (eV per formula unit): -39.84
Electronic total energy (eV per atom): -6.24

Cell: 8.2101 10.3935 8.2152 Å, 90.00 104.70 90.00°
With the nearest neighbours (Å) after each atom.
Space group P2_1 (No. 4)
Inequivalent atoms, fractional coordinates:
Li: 0.0156 0.0736 0.0149  4 O 2.00-2.16
Li: 0.0220 0.7233 0.5240  4 O 1.98-2.07
Li: 0.0988 0.8137 0.8476  4 O 1.97-2.05
Li: 0.1046 0.9873 0.3516  4 O 1.98-2.07
Li: 0.1571 0.3123 0.9086  4 O 1.95-1.99
Li: 0.1566 0.4899 0.4092  4 O 1.96-2.00
Li: 0.3494 0.8030 0.5964  4 O 1.95-2.06
Li: 0.3504 0.0000 0.1004  4 O 1.97-2.07
Zn: 0.4081 0.3064 0.6597  4 O 1.97-1.99
Zn: 0.4103 0.4942 0.1591  4 O 1.97-1.98
P: 0.2086 0.7424 0.2214  4 O 1.55-1.56
P: 0.2118 0.0590 0.7241  4 O 1.55-1.56
P: 0.2693 0.2446 0.2857  4 O 1.55-1.57
P: 0.2690 0.5582 0.7851  4 O 1.55-1.57
O: 0.0602 0.7532 0.0617  1 P 1.55
O: 0.0628 0.0524 0.5639  1 P 1.55
O: 0.1175 0.4952 0.8368  1 P 1.56
O: 0.1190 0.3067 0.3412  1 P 1.56
O: 0.1598 0.7995 0.3776  1 P 1.56
O: 0.1632 0.9981 0.8775  1 P 1.55
O: 0.2262 0.1041 0.2296  1 P 1.55
O: 0.2264 0.6989 0.7285  1 P 1.55
O: 0.2513 0.5965 0.2529  1 P 1.56
O: 0.2601 0.2029 0.7648  1 P 1.56
O: 0.3059 0.3210 0.1354  1 P 1.56
O: 0.3080 0.4816 0.6358  1 P 1.56
O: 0.3618 0.8182 0.1896  1 P 1.56
O: 0.3630 0.9842 0.6858  1 P 1.56
O: 0.4305 0.2556 0.4356  1 P 1.57
O: 0.4296 0.5501 0.9358  1 P 1.57


4.
In2AgS3Cl after structural relaxation. Source: Materials Project, functional GGA-PBE.

## Properties
ΔE_f (eV per formula unit): -6.17
Electronic total energy (eV per atom): -3.81

Cell: 7.8768 7.8768 18.8360 Å, 90.00 90.00 120.00°
With the nearest neighbours (Å) after each atom.
Space group R-3m (No. 166, hexagonal axes)
Inequivalent atoms, fractional coordinates:
In: 0.0000 0.0000 0.0000  6 S 2.67
In: 0.0000 0.5000 0.5000  4 S 2.60, 2 Cl 2.80
Ag: 0.0000 0.0000 0.4143  3 S 2.50
S: 0.0319 0.5160 0.7573  1 Ag 2.50, 3 In 2.60-2.67
Cl: 0.0000 0.0000 0.2535  3 In 2.80, 1 Ag 3.03


5.
Dy3SbO7 after structural relaxation. Source: Materials Project, functional GGA-PBE.

## Properties
ΔE_f (eV per formula unit): -37.72
Electronic total energy (eV per atom): -7.77

Cell: 7.5112 10.5723 7.5108 Å, 90.00 90.00 90.00°
With the nearest neighbours (Å) after each atom.
Space group C222_1 (No. 20)
Inequivalent atoms, fractional coordinates:
Dy: 0.0139 0.0000 0.0000  6 O 2.32-2.51
Dy: 0.2340 0.2660 0.7517  7 O 2.22-2.46
Sb: 0.0007 0.5000 0.5000  6 O 1.98-2.02
O: 0.0000 0.1292 0.2500  4 Dy 2.28-2.32
O: 0.0000 0.1381 0.7500  4 Dy 2.22-2.38
O: 0.0000 0.4293 0.7500  2 Sb 2.02
O: 0.1894 0.3726 0.0329  1 Sb 1.98
O: 0.2023 0.3768 0.4716  1 Sb 2.01


6.
MgH2 after structural relaxation. Source: Materials Project, functional GGA-PBE.

## Properties
ΔE_f (eV per formula unit): -0.64
Electronic total energy (eV per atom): -2.89

Cell: 5.3008 3.1133 5.9968 Å, 90.00 90.00 90.00°
With the nearest neighbours (Å) after each atom.
Space group Pnma (No. 62)
Inequivalent atoms, fractional coordinates:
Mg: 0.2485 0.2500 0.1033  7 H 1.97-2.16
H: 0.0226 0.7500 0.3331  3 Mg 2.02-2.16
H: 0.1391 0.7500 0.9253  4 Mg 1.97-2.06


7.
ErNbOs2 after structural relaxation. Source: Materials Project, functional GGA-PBE.

## Properties
ΔE_f (eV per formula unit): -0.81
Electronic total energy (eV per atom): -9.48

Cell: 6.5545 6.5545 6.5545 Å, 90.00 90.00 90.00°
With the nearest neighbours (Å) after each atom.
Space group Fm-3m (No. 225)
Inequivalent atoms, fractional coordinates:
Er: 0.0000 0.0000 0.0000  8 Os 2.84
Nb: 0.0000 0.0000 0.5000  8 Os 2.84
Os: 0.2500 0.2500 0.2500  4 Nb 2.84, 4 Er 2.84


8.
BF2 after structural relaxation. Source: Materials Project, functional GGA-PBE.

## Properties
ΔE_f (eV per formula unit): -7.93
Electronic total energy (eV per atom): -5.84

Cell: 4.9339 6.6667 6.6021 Å, 90.00 124.33 90.00°
With the nearest neighbours (Å) after each atom.
Space group P2_1/c (No. 14)
Inequivalent atoms, fractional coordinates:
B: 0.1416 0.0645 0.1310  2 F 1.33-1.34
F: 0.0483 0.2019 0.2283  1 B 1.34
F: 0.4631 0.0332 0.2487  1 B 1.33


The lowest electronic total energy belongs to which entry? ErNbOs2


The lowest electronic total energy belongs to which entry? ErNbOs2